The following is a DFT calculation (r2SCAN) of a relaxed structure of Ho2Pt2O7.

Cell lengths 7.1852, 7.1852, 7.1852 Å; angles 60.00, 60.00, 60.00 degrees
Positions (direct):
O (0.5000, 0.5000, 0.5000)
O (0.7837, 0.2163, 0.7837)
O (0.4663, 0.0337, 0.0337)
Pt (0.6250, 0.1250, 0.1250)
O (0.4663, 0.4663, 0.0337)
O (0.0337, 0.0337, 0.4663)
O (0.0337, 0.4663, 0.4663)
Ho (0.6250, 0.1250, 0.6250)
O (0.4663, 0.0337, 0.4663)
O (0.0337, 0.4663, 0.0337)
Pt (0.1250, 0.1250, 0.6250)
Ho (0.6250, 0.6250, 0.1250)
O (0.2163, 0.2163, 0.7837)
Pt (0.1250, 0.6250, 0.1250)
O (0.7837, 0.2163, 0.2163)
Ho (0.6250, 0.6250, 0.6250)
O (0.2163, 0.7837, 0.2163)
Pt (0.1250, 0.1250, 0.1250)
Ho (0.1250, 0.6250, 0.6250)
O (0.2163, 0.7837, 0.7837)
O (0.7837, 0.7837, 0.2163)
O (0.7500, 0.7500, 0.7500)

**Calculated formation energy**: -2282 meV per atom